DFT (PBE-GGA) results for a relaxed structure of Pr2H16S3O20.

Properties
SG: C2/c (15)
Uncorrected energy: -5.770 eV/atom

a b c (Å): 6.8880 7.7897 18.6380
angles (deg): 101.20 90.00 116.24
Fractional positions:
1 O 0.2638 0.5195 0.7940
2 O 0.5838 0.0640 0.1933
3 O 0.7362 0.4805 0.2060
4 O 0.2894 0.0821 0.9353
5 O 0.2833 0.1664 0.7861
6 O 0.4802 0.0640 0.6933
7 O 0.1843 0.3193 0.6488
8 O 0.0998 0.5131 0.5767
9 O 0.7106 0.9179 0.0647
10 O 0.8650 0.6807 0.8512
11 O 0.6360 0.3023 0.5423
12 O 0.1540 0.9706 0.1398
13 O 0.8157 0.6807 0.3512
14 O 0.6662 0.3023 0.0423
15 O 0.1169 0.8336 0.7139
16 O 0.7167 0.8336 0.2139
17 O 0.4162 0.9360 0.8067
18 O 0.8460 0.0294 0.8602
19 O 0.2352 0.2890 0.5182
20 O 0.7648 0.7110 0.4818
21 O 0.0538 0.2890 0.0182
22 O 0.2556 0.5195 0.2940
23 O 0.3338 0.6977 0.9577
24 O 0.3640 0.6977 0.4577
25 O 0.2073 0.9179 0.5647
26 O 0.1121 0.5868 0.1069
27 O 0.9002 0.4869 0.4233
28 O 0.5253 0.4132 0.3931
29 O 0.1350 0.3193 0.1488
30 O 0.5198 0.9360 0.3067
31 O 0.5867 0.4869 0.9233
32 O 0.1834 0.0294 0.3602
33 O 0.9462 0.7110 0.9818
34 O 0.7927 0.0821 0.4353
35 O 0.7444 0.4805 0.7060
36 O 0.8879 0.4132 0.8931
37 O 0.8166 0.9706 0.6398
38 O 0.8831 0.1664 0.2861
39 O 0.4747 0.5868 0.6069
40 O 0.4133 0.5131 0.0767
41 H 0.7958 0.5431 0.7586
42 H 0.2945 0.6570 0.7977
43 H 0.5029 0.7219 0.4826
44 H 0.2042 0.4569 0.2414
45 H 0.7054 0.0142 0.8399
46 H 0.5338 0.2354 0.0073
47 H 0.7810 0.2781 0.0174
48 H 0.1669 0.9804 0.9533
49 H 0.3626 0.6570 0.2977
50 H 0.6374 0.3430 0.7023
51 H 0.8381 0.8967 0.8519
52 H 0.8331 0.0196 0.0467
53 H 0.2984 0.7646 0.4927
54 H 0.2190 0.7219 0.9826
55 H 0.3208 0.9885 0.6076
56 H 0.4971 0.2781 0.5174
57 H 0.2528 0.4569 0.7414
58 H 0.6792 0.0115 0.3924
59 H 0.7055 0.3430 0.2023
60 H 0.0585 0.8967 0.3519
61 H 0.3087 0.0142 0.3399
62 H 0.6913 0.9858 0.6601
63 H 0.6676 0.9885 0.1076
64 H 0.7016 0.2354 0.5073
65 H 0.4662 0.7646 0.9927
66 H 0.7472 0.5431 0.2586
67 H 0.2946 0.9858 0.1601
68 H 0.1865 0.0196 0.5467
69 H 0.8135 0.9804 0.4533
70 H 0.3324 0.0115 0.8924
71 H 0.9415 0.1033 0.6481
72 H 0.1619 0.1033 0.1481
73 Pr 0.8577 0.6601 0.6069
74 Pr 0.8024 0.6601 0.1069
75 Pr 0.1976 0.3399 0.8931
76 Pr 0.1423 0.3399 0.3931
77 S 0.2484 0.4283 0.5895
78 S 0.8201 0.5717 0.9105
79 S 0.3245 0.0000 0.7500
80 S 0.6755 0.0000 0.2500
81 S 0.1799 0.4283 0.0895
82 S 0.7516 0.5717 0.4105